Entry 1:
A plane-wave DFT calculation with meta-GGA r2SCAN was carried out for a geometry-optimized YbAgS2 structure.

```
8
Lattice="-2.675 2.675 5.901 2.675 -2.675 5.901 2.675 2.675 -5.901" Properties=species:S:1:pos:R:3 pbc="T T T"
Yb 2.675 1.337 1.475
Yb 0.000 1.337 4.425
Ag 2.675 -1.337 4.425
Ag 0.000 4.012 1.475
S 2.675 1.337 -1.204
S 0.000 1.337 1.746
S 2.675 1.337 4.154
S 0.000 1.337 7.104
```

## Properties
Energy of formation   -6.10 eV per formula unit
Energy   -160.10 eV/cell
Symmetry   I4_1/amd (141)



Entry 2:
A plane-wave DFT calculation with meta-GGA r2SCAN was carried out for a geometry-optimized YbAgS2 structure.

```
4
Lattice="1.960 1.132 6.228 -1.960 1.132 6.228 0.000 -2.263 6.228" Properties=species:S:1:pos:R:3 pbc="T T T"
Yb 0.000 0.000 0.000
Ag 0.000 0.000 9.342
S 0.000 0.000 4.766
S 0.000 0.000 13.917
```

## Properties
Energy of formation   -6.05 eV per formula unit
Energy   -80.00 eV/cell
Symmetry   R-3m (166)



Entry 3:
A plane-wave DFT calculation with meta-GGA r2SCAN was carried out for a geometry-optimized YbAgS2 structure.

```
4
Lattice="3.863 0.000 0.000 0.000 3.863 0.000 0.000 0.000 5.371" Properties=species:S:1:pos:R:3 pbc="T T T"
Yb 0.000 0.000 0.000
Ag 1.931 1.931 2.685
S 0.000 0.000 2.685
S 1.931 1.931 0.000
```

## Properties
Energy of formation   -5.67 eV per formula unit
Energy   -79.63 eV/cell
Symmetry   P4/mmm (123)



Entry 4:
A plane-wave DFT calculation with meta-GGA r2SCAN was carried out for a geometry-optimized Ag3Sb structure.

```
8
Lattice="4.866 0.000 0.000 0.000 6.026 0.000 0.000 0.000 5.316" Properties=species:S:1:pos:R:3 pbc="T T T"
Ag 1.216 0.012 0.818
Ag 1.216 1.507 3.581
Ag 1.216 3.001 0.818
Ag 3.649 3.025 4.498
Ag 3.649 4.520 1.735
Ag 3.649 6.014 4.498
Sb 1.216 4.520 3.563
Sb 3.649 1.507 1.753
```

## Properties
Energy of formation   0.16 eV per formula unit
Energy   -179.22 eV/cell
Symmetry   Pmmn (59)



Q: What is the formula in the second record?
A: YbAgS2



Copy entry 2 word for word.
A plane-wave DFT calculation with meta-GGA r2SCAN was carried out for a geometry-optimized YbAgS2 structure.

```
4
Lattice="1.960 1.132 6.228 -1.960 1.132 6.228 0.000 -2.263 6.228" Properties=species:S:1:pos:R:3 pbc="T T T"
Yb 0.000 0.000 0.000
Ag 0.000 0.000 9.342
S 0.000 0.000 4.766
S 0.000 0.000 13.917
```

## Properties
Energy of formation   -6.05 eV per formula unit
Energy   -80.00 eV/cell
Symmetry   R-3m (166)



Q: Look up the energy of formation of the first one.
A: -6.10 eV per formula unit